(1)
KNbPCO7, relaxed, DFT GGA-PBE; spin magnetization = 0.999 μB per formula unit; ΔH_f (0 K) = -2.451 eV per atom
1.0
-1.6861 -6.2840 0.4920
3.8583 -1.3363 -3.8449
7.0145 -1.3234 7.1356
K Nb P C O
2 2 2 2 14
direct
0.5608 0.7466 0.7670 K
0.0608 0.2534 0.2330 K
0.2220 0.2212 0.6630 Nb
0.7220 0.7788 0.3370 Nb
0.7297 0.2801 0.5560 P
0.2297 0.7199 0.4440 P
0.2650 0.2777 0.9106 C
0.7650 0.7223 0.0894 C
0.7862 0.6953 0.9708 O
0.2583 0.0653 0.8491 O
0.2475 0.4553 0.8180 O
0.9208 0.2297 0.6484 O
0.5407 0.2323 0.6466 O
0.2375 0.8901 0.5603 O
0.7336 0.5442 0.5118 O
0.2336 0.4558 0.4882 O
0.7375 0.1099 0.4397 O
0.0407 0.7677 0.3534 O
0.4208 0.7703 0.3516 O
0.7475 0.5447 0.1820 O
0.7583 0.9347 0.1509 O
0.2862 0.3047 0.0292 O



(2)
KNdC2O6, relaxed, DFT GGA-PBE; ΔH_f (0 K) = -2.549 eV per atom
1.0
-5.2192 3.5776 1.7045
-2.7359 -0.0633 -8.2448
-5.0764 -8.2384 1.7478
K Nd C O
4 4 8 24
direct
0.4662 0.6926 0.2413 K
0.4662 0.6926 0.7587 K
0.5338 0.1926 0.2587 K
0.5338 0.1926 0.7413 K
0.9676 0.9519 0.0000 Nd
0.0340 0.4541 0.0000 Nd
0.0324 0.4519 0.5000 Nd
0.9660 0.9541 0.5000 Nd
0.9671 0.7597 0.7502 C
0.0329 0.2597 0.7498 C
0.4752 0.4439 0.5000 C
0.0329 0.2597 0.2502 C
0.4090 0.9565 0.5000 C
0.9671 0.7597 0.2498 C
0.5910 0.4565 0.0000 C
0.5248 0.9439 0.0000 C
0.3943 0.4678 0.0000 O
0.3690 0.3169 0.5000 O
0.3284 0.9402 0.0000 O
0.0250 0.1935 0.1331 O
0.0380 0.7014 0.8618 O
0.8893 0.8982 0.7544 O
0.9750 0.6935 0.3669 O
0.6057 0.9678 0.5000 O
0.6930 0.4519 0.8862 O
0.1107 0.3982 0.7456 O
0.9620 0.2014 0.6382 O
0.6310 0.8169 0.0000 O
0.1107 0.3982 0.2544 O
0.9620 0.2014 0.3618 O
0.6241 0.0743 0.0000 O
0.8893 0.8982 0.2456 O
0.6930 0.4519 0.1138 O
0.9750 0.6935 0.6331 O
0.3759 0.5743 0.5000 O
0.3070 0.9519 0.3862 O
0.0380 0.7014 0.1382 O
0.0250 0.1935 0.8669 O
0.3070 0.9519 0.6138 O
0.6716 0.4402 0.5000 O



(3)
KNpC2O6, relaxed, DFT GGA-PBE; spin magnetization = 0.274 μB per formula unit; ΔH_f (0 K) = -2.011 eV per atom
1.0
3.7047 5.9163 0.0000
-3.7047 5.9163 0.0000
0.0000 1.6269 4.0803
K Np C O
1 1 2 6
direct
0.5000 0.5000 0.5000 K
0.0000 0.0000 0.0000 Np
0.2198 0.2198 0.4028 C
0.7802 0.7802 0.5972 C
0.2479 0.7521 0.0000 O
0.7521 0.2479 0.0000 O
0.1164 0.1164 0.3759 O
0.8836 0.8836 0.6241 O
0.2392 0.2392 0.6633 O
0.7608 0.7608 0.3367 O



(4)
K4C2O3, relaxed, DFT GGA-PBE; spin magnetization = 2.000 μB per formula unit; ΔH_f (0 K) = -0.951 eV per atom
1.0
-1.5824 -1.6691 4.9055
5.2756 1.2369 -0.6457
-1.4689 6.8693 1.3551
K C O
4 2 3
direct
0.9782 0.9763 0.9851 K
0.0050 0.0164 0.4973 K
0.3345 0.6613 0.7537 K
0.6379 0.3077 0.2460 K
0.3363 0.7011 0.2484 C
0.6915 0.3016 0.7396 C
0.1963 0.4322 0.2176 O
0.4351 0.1936 0.7907 O
0.8061 0.5669 0.7075 O



(5)
K4CO4, relaxed, DFT GGA-PBE; spin magnetization = 2.000 μB per formula unit; ΔH_f (0 K) = -0.964 eV per atom; excess energy over the best structure of this formula in the dataset = 702 meV/atom
1.0
-4.6805 7.4142 -7.1546
-2.0736 -2.8455 -1.9462
-1.9694 -3.2583 6.3195
K C O
4 1 4
direct
0.1634 0.6014 0.4401 K
0.3978 0.5357 0.1109 K
0.9072 0.8882 0.4731 K
0.5410 0.9812 0.8155 K
0.9759 0.3944 0.8544 C
0.2052 0.0919 0.7193 O
0.9509 0.1740 0.9227 O
0.4055 0.5114 0.4786 O
0.6987 0.4447 0.1854 O



(6)
K4CO4, relaxed, DFT GGA-PBE; spin magnetization = 0.000 μB per formula unit; ΔH_f (0 K) = -1.633 eV per atom; excess energy over the best structure of this formula in the dataset = 34 meV/atom
1.0
6.0956 1.1323 1.3607
1.1044 -3.5524 5.1431
-2.5342 -1.7748 -5.5424
K C O
4 1 4
direct
0.6537 0.0592 0.0000 K
0.9408 0.9408 0.5946 K
0.0592 0.6537 0.0000 K
0.3463 0.3463 0.4054 K
0.5000 0.5000 0.0000 C
0.7346 0.4367 0.0000 O
0.4367 0.7346 0.0000 O
0.2654 0.2654 0.7021 O
0.5633 0.5633 0.2979 O



(7)
K4CO4, relaxed, DFT GGA-PBE; spin magnetization = 0.000 μB per formula unit; ΔH_f (0 K) = -1.543 eV per atom; excess energy over the best structure of this formula in the dataset = 123 meV/atom
1.0
-1.8709 -1.2761 -4.9069
-0.5337 -5.1816 1.4396
-5.0879 0.8641 1.6038
K C O
4 1 4
direct
0.5459 0.5768 0.1224 K
0.1263 0.1263 0.1263 K
0.1224 0.5459 0.5768 K
0.5768 0.1224 0.5459 K
0.8489 0.8489 0.8489 C
0.9983 0.6906 0.0093 O
0.0093 0.9983 0.6906 O
0.6967 0.6967 0.6967 O
0.6906 0.0093 0.9983 O



(8)
K4CO4, relaxed, DFT GGA-PBE; spin magnetization = 0.000 μB per formula unit; ΔH_f (0 K) = -1.644 eV per atom; excess energy over the best structure of this formula in the dataset = 22 meV/atom
1.0
3.7465 4.3868 3.0926
-4.7604 -3.9202 2.1944
4.5321 -4.4793 -1.4969
K C O
4 1 4
direct
0.8340 0.8340 0.3504 K
0.5164 0.1660 0.0000 K
0.1660 0.5164 0.0000 K
0.4836 0.4836 0.6496 K
0.0000 0.0000 0.0000 C
0.2505 0.2505 0.1999 O
0.7495 0.9494 0.0000 O
0.9494 0.7495 0.0000 O
0.0506 0.0506 0.8001 O



(9)
K4CO4, relaxed, DFT GGA-PBE; spin magnetization = 0.000 μB per formula unit; ΔH_f (0 K) = -1.606 eV per atom; excess energy over the best structure of this formula in the dataset = 60 meV/atom
1.0
4.9023 3.2455 0.0000
-4.9023 3.2455 0.0000
0.0000 1.5981 5.4758
K C O
4 1 4
direct
0.3300 0.3300 0.7503 K
0.7988 0.7988 0.9582 K
0.1262 0.5942 0.3158 K
0.5942 0.1262 0.3158 K
0.9886 0.9886 0.4547 C
0.1295 0.1295 0.2079 O
0.7675 0.7675 0.4459 O
0.1480 0.9101 0.5812 O
0.9101 0.1480 0.5812 O



(10)
K4CO4, relaxed, DFT GGA-PBE; spin magnetization = 0.005 μB per formula unit; ΔH_f (0 K) = -1.543 eV per atom; excess energy over the best structure of this formula in the dataset = 124 meV/atom
1.0
1.5819 2.4133 4.6495
-5.0425 1.4097 1.5906
-0.7924 -4.3975 3.1587
K C O
4 1 4
direct
0.6094 0.1619 0.6094 K
0.6094 0.6094 0.1619 K
0.1619 0.6094 0.6094 K
0.1843 0.1843 0.1843 K
0.9261 0.9261 0.9261 C
0.0788 0.7557 0.0788 O
0.7872 0.7872 0.7872 O
0.0788 0.0788 0.7557 O
0.7557 0.0788 0.0788 O



(11)
K4CO4, relaxed, DFT GGA-PBE; spin magnetization = 0.000 μB per formula unit; ΔH_f (0 K) = -1.666 eV per atom; excess energy over the best structure of this formula in the dataset = 0 meV/atom
1.0
7.2229 0.0000 0.0000
0.0000 7.2229 0.0000
0.0000 0.0000 5.5343
K C O
8 2 8
direct
0.2789 0.0138 0.8587 K
0.0138 0.7211 0.1413 K
0.9862 0.2789 0.1413 K
0.7789 0.5138 0.6413 K
0.2211 0.4862 0.6413 K
0.4862 0.7789 0.3587 K
0.5138 0.2211 0.3587 K
0.7211 0.9862 0.8587 K
0.0000 0.0000 0.5000 C
0.5000 0.5000 0.0000 C
0.8351 0.9926 0.3527 O
0.3351 0.4926 0.1473 O
0.4926 0.6649 0.8527 O
0.0074 0.8351 0.6473 O
0.1649 0.0074 0.3527 O
0.9926 0.1649 0.6473 O
0.6649 0.5074 0.1473 O
0.5074 0.3351 0.8527 O



(12)
K4CO4, relaxed, DFT GGA-PBE; spin magnetization = 0.000 μB per formula unit; ΔH_f (0 K) = -1.636 eV per atom; excess energy over the best structure of this formula in the dataset = 30 meV/atom
1.0
4.0632 3.9649 0.0000
-4.0632 3.9649 0.0000
0.0000 3.6113 4.9099
K C O
4 1 4
direct
0.6139 0.0213 0.3218 K
0.2976 0.2976 0.8850 K
0.6996 0.6996 0.9126 K
0.0213 0.6139 0.3218 K
0.1255 0.1255 0.6000 C
0.1926 0.9051 0.7742 O
0.9051 0.1926 0.7742 O
0.3539 0.3539 0.4220 O
0.0551 0.0551 0.4312 O



(13)
K3CO, relaxed, DFT GGA-PBE; spin magnetization = 3.000 μB per formula unit; ΔH_f (0 K) = 0.189 eV per atom
1.0
5.2311 0.0000 0.0000
0.0000 5.2311 0.0000
0.0000 0.0000 5.2311
K C O
3 1 1
direct
0.0000 0.0000 0.5000 K
0.0000 0.5000 0.0000 K
0.5000 0.0000 0.0000 K
0.5000 0.5000 0.5000 C
0.0000 0.0000 0.0000 O



(14)
K4CO4, relaxed, DFT GGA-PBE; spin magnetization = 0.000 μB per formula unit; ΔH_f (0 K) = -1.639 eV per atom; excess energy over the best structure of this formula in the dataset = 28 meV/atom
1.0
-4.6636 -3.4214 -1.9760
-0.9348 -5.8201 1.6162
-4.0979 -0.5372 3.8950
K C O
4 1 4
direct
0.8129 0.8854 0.4820 K
0.5131 0.7611 0.1329 K
0.1146 0.1871 0.5180 K
0.2389 0.4869 0.8671 K
0.7429 0.2571 0.0000 C
0.8019 0.0309 0.9191 O
0.9691 0.1981 0.0809 O
0.5046 0.3155 0.2143 O
0.6845 0.4954 0.7857 O



(15)
K4CO4, relaxed, DFT GGA-PBE; spin magnetization = 0.000 μB per formula unit; ΔH_f (0 K) = -1.632 eV per atom; excess energy over the best structure of this formula in the dataset = 34 meV/atom
1.0
-3.7444 3.7444 2.7418
3.7444 -3.7444 2.7418
3.7444 3.7444 -2.7418
K C O
4 1 4
direct
0.5609 0.9127 0.1059 K
0.0873 0.1932 0.6482 K
0.8068 0.4550 0.8941 K
0.5450 0.4391 0.3518 K
0.2500 0.7500 0.5000 C
0.2477 0.9386 0.3875 O
0.0614 0.4490 0.3091 O
0.1399 0.7523 0.6909 O
0.5510 0.8601 0.6125 O



(16)
K4CO4, relaxed, DFT GGA-PBE; spin magnetization = 0.000 μB per formula unit; ΔH_f (0 K) = -1.566 eV per atom; excess energy over the best structure of this formula in the dataset = 100 meV/atom
1.0
-5.3099 1.8132 0.6871
-1.9882 -5.2191 0.8739
-1.4430 -0.5140 6.3079
K C O
4 1 4
direct
0.0266 0.5645 0.0976 K
0.9313 0.4273 0.6256 K
0.4273 0.9313 0.6256 K
0.5645 0.0266 0.0976 K
0.0194 0.0194 0.4131 C
0.2055 0.2055 0.3605 O
0.8249 0.1245 0.3255 O
0.9159 0.9159 0.6674 O
0.1245 0.8249 0.3255 O



(17)
K4CO4, relaxed, DFT GGA-PBE; spin magnetization = 0.000 μB per formula unit; ΔH_f (0 K) = -1.545 eV per atom; excess energy over the best structure of this formula in the dataset = 122 meV/atom
1.0
-1.0245 4.5189 2.7963
0.0795 -2.8345 4.6097
5.3135 0.9137 0.4702
K C O
4 1 4
direct
0.7808 0.2192 0.2192 K
0.7808 0.7808 0.7808 K
0.2192 0.7808 0.2192 K
0.2192 0.2192 0.7808 K
0.5000 0.5000 0.5000 C
0.6549 0.6549 0.3451 O
0.3451 0.6549 0.6549 O
0.3451 0.3451 0.3451 O
0.6549 0.3451 0.6549 O



(18)
K2SbPCO7, relaxed, DFT GGA-PBE; spin magnetization = 0.000 μB per formula unit; ΔH_f (0 K) = -2.270 eV per atom
1.0
-3.0051 5.2465 -3.5484
0.1826 -3.3216 -5.0657
-8.8712 -4.3528 1.0770
K Sb P C O
4 2 2 2 14
direct
0.0109 0.2483 0.7760 K
0.4891 0.2483 0.7760 K
0.5109 0.7517 0.2240 K
0.9891 0.7517 0.2240 K
0.7500 0.8095 0.6206 Sb
0.2500 0.1905 0.3794 Sb
0.2500 0.7433 0.5907 P
0.7500 0.2567 0.4093 P
0.7500 0.7185 0.8946 C
0.2500 0.2815 0.1054 C
0.2500 0.2828 0.9800 O
0.7500 0.9150 0.8124 O
0.7500 0.5460 0.8282 O
0.0704 0.8414 0.6564 O
0.4296 0.8414 0.6564 O
0.7500 0.1594 0.5673 O
0.2500 0.4909 0.6020 O
0.7500 0.5091 0.3980 O
0.2500 0.8406 0.4327 O
0.5704 0.1586 0.3436 O
0.9296 0.1586 0.3436 O
0.2500 0.4540 0.1718 O
0.2500 0.0850 0.1876 O
0.7500 0.7172 0.0200 O



(19)
KSiPCO7, relaxed, DFT GGA-PBE; spin magnetization = 0.000 μB per formula unit; ΔH_f (0 K) = -2.516 eV per atom
1.0
6.0088 0.0000 0.0000
0.0000 5.0973 0.0000
0.0000 0.2167 10.1087
K Si P C O
2 2 2 2 14
direct
0.6324 0.7512 0.7902 K
0.1324 0.2488 0.2098 K
0.2221 0.2329 0.6456 Si
0.7221 0.7671 0.3544 Si
0.7254 0.2646 0.5523 P
0.2254 0.7354 0.4477 P
0.2565 0.2874 0.8659 C
0.7565 0.7126 0.1341 C
0.7988 0.6805 0.0166 O
0.2343 0.0585 0.8038 O
0.2353 0.4776 0.7716 O
0.9250 0.2324 0.6473 O
0.5246 0.2303 0.6455 O
0.2250 0.9425 0.5549 O
0.7227 0.5467 0.4926 O
0.2227 0.4533 0.5074 O
0.7250 0.0575 0.4451 O
0.0246 0.7697 0.3545 O
0.4250 0.7676 0.3527 O
0.7353 0.5224 0.2284 O
0.7343 0.9415 0.1962 O
0.2988 0.3195 0.9834 O